# 1
The following is a GGA-PBE calculation of crystalline SmH3C3O6 at its relaxed geometry, from the Materials Project.

Summary:
Maximum piezoelectric response ... 0.303 C/m²
Total magnetization ... 0.0 μB/f.u.
E_form ... -1756 meV/atom
E (MP2020) ... -7.315 eV/atom

Cell lengths 6.2787, 6.2787, 6.2787 Å; angles 115.45, 115.45, 115.45 degrees
Atoms (fractional coordinates):
C 0.6880 0.2277 0.2277
C 0.2277 0.2277 0.6880
C 0.2277 0.6880 0.2277
H 0.4664 0.9825 0.4664
H 0.9825 0.4664 0.4664
H 0.4664 0.4664 0.9825
O 0.9545 0.5561 0.9545
O 0.2494 0.2494 0.5033
O 0.2494 0.5033 0.2494
O 0.9545 0.9545 0.5561
O 0.5033 0.2494 0.2494
O 0.5561 0.9545 0.9545
Sm 0.8410 0.8410 0.8410



# 2
The following is a GGA-PBE calculation of crystalline SnH8C4O4 at its relaxed geometry, from the Materials Project.

Summary:
Total magnetization ... 0.0 μB/f.u.
E_form ... -722 meV/atom
E (MP2020) ... -5.890 eV/atom

Cell lengths 6.1211, 9.3995, 12.9869 Å; angles 90.00, 90.00, 90.00 degrees
Atoms (fractional coordinates):
C 0.1262 0.7500 0.5769
C 0.4030 0.5259 0.3631
C 0.5970 0.4741 0.6369
C 0.1577 0.2500 0.6798
C 0.0970 0.9741 0.8631
C 0.8738 0.2500 0.4231
C 0.3738 0.7500 0.0769
C 0.6577 0.7500 0.8202
C 0.5970 0.0259 0.6369
C 0.9030 0.4741 0.1369
C 0.0970 0.5259 0.8631
C 0.6262 0.2500 0.9231
C 0.8423 0.7500 0.3202
C 0.3423 0.2500 0.1798
C 0.9030 0.0259 0.1369
C 0.4030 0.9741 0.3631
O 0.6061 0.0755 0.7278
O 0.1973 0.0842 0.8947
O 0.8027 0.9158 0.1053
O 0.8027 0.5842 0.1053
O 0.3027 0.0842 0.3947
O 0.8939 0.4245 0.2278
O 0.3939 0.9245 0.2722
O 0.6973 0.5842 0.6053
O 0.3939 0.5755 0.2722
O 0.3027 0.4158 0.3947
O 0.1973 0.4158 0.8947
O 0.6061 0.4245 0.7278
O 0.1061 0.9245 0.7722
O 0.1061 0.5755 0.7722
O 0.6973 0.9158 0.6053
O 0.8939 0.0755 0.2278
H 0.4414 0.1539 0.1883
H 0.8992 0.3457 0.4696
H 0.9956 0.5815 0.9213
H 0.4956 0.4185 0.5787
H 0.2385 0.2500 0.6046
H 0.2101 0.7500 0.1107
H 0.9414 0.6539 0.3117
H 0.4414 0.3461 0.1883
H 0.8992 0.1543 0.4696
H 0.7899 0.2500 0.8893
H 0.5044 0.5815 0.4213
H 0.0044 0.0815 0.0787
H 0.9414 0.8461 0.3117
H 0.0044 0.4185 0.0787
H 0.2899 0.7500 0.6107
H 0.5586 0.8461 0.8117
H 0.4956 0.0815 0.5787
H 0.7385 0.7500 0.8954
H 0.3992 0.8457 0.0304
H 0.1008 0.6543 0.5304
H 0.1008 0.8457 0.5304
H 0.2615 0.2500 0.1046
H 0.3992 0.6543 0.0304
H 0.7101 0.2500 0.3893
H 0.7615 0.7500 0.3954
H 0.5586 0.6539 0.8117
H 0.0586 0.3461 0.6883
H 0.0586 0.1539 0.6883
H 0.6008 0.1543 0.9696
H 0.5044 0.9185 0.4213
H 0.6008 0.3457 0.9696
H 0.9956 0.9185 0.9213
Sn 0.3941 0.2500 0.8011
Sn 0.6059 0.7500 0.1989
Sn 0.8941 0.7500 0.6989
Sn 0.1059 0.2500 0.3011